Entry 1:
Below is a geometry-optimized NpSbTe structure, with properties calculated at the meta-GGA r2SCAN level.

Output
**Symmetry**: P4/nmm
**Total DFT energy (no corrections)**: -45.825 eV per atom
**Mass density**: 9.23 g/cm³
**ΔE_f**: -3.33 eV per formula unit

abc: 4.339 4.339 9.299
angles: 90.00 90.00 90.00
Fractional positions:
Np: 0.250 0.250 0.227
Np: 0.750 0.750 0.773
Sb: 0.250 0.750 0.500
Sb: 0.750 0.250 0.500
Te: 0.250 0.250 0.871
Te: 0.750 0.750 0.129

=====

Entry 2:
Below is a geometry-optimized LaNiGe2 structure, with properties calculated at the meta-GGA r2SCAN level.

Output
**Symmetry**: Cmcm
**Total DFT energy (no corrections)**: -18.185 eV per atom
**Mass density**: 7.37 g/cm³
**ΔE_f**: -3.27 eV per formula unit

abc: 4.322 16.890 4.231
angles: 90.00 90.00 90.00
Fractional positions:
La: 0.000 0.109 0.250
La: 0.000 0.891 0.750
La: 0.500 0.391 0.750
La: 0.500 0.609 0.250
Ni: 0.000 0.317 0.250
Ni: 0.000 0.683 0.750
Ni: 0.500 0.183 0.750
Ni: 0.500 0.817 0.250
Ge: 0.000 0.250 0.750
Ge: 0.000 0.457 0.250
Ge: 0.000 0.543 0.750
Ge: 0.000 0.750 0.250
Ge: 0.500 0.043 0.750
Ge: 0.500 0.250 0.250
Ge: 0.500 0.750 0.750
Ge: 0.500 0.957 0.250

=====

Entry 3:
Below is a geometry-optimized MnP2O7 structure, with properties calculated at the meta-GGA r2SCAN level.

Output
**Symmetry**: P2_1/c
**Total DFT energy (no corrections)**: -9.699 eV per atom
**Mass density**: 3.26 g/cm³
**ΔE_f**: -22.50 eV per formula unit

abc: 4.815 6.464 14.982
angles: 90.00 90.35 90.00
Fractional positions:
Mn: 0.250 0.082 0.135
Mn: 0.250 0.418 0.635
Mn: 0.750 0.582 0.365
Mn: 0.750 0.918 0.865
P: 0.256 0.196 0.927
P: 0.256 0.304 0.427
P: 0.263 0.603 0.834
P: 0.263 0.897 0.334
P: 0.737 0.103 0.666
P: 0.737 0.397 0.166
P: 0.744 0.696 0.573
P: 0.744 0.804 0.073
O: 0.050 0.648 0.587
O: 0.050 0.852 0.087
O: 0.066 0.744 0.375
O: 0.066 0.756 0.875
O: 0.147 0.004 0.252
O: 0.147 0.496 0.752
O: 0.297 0.065 0.410
O: 0.297 0.435 0.910
O: 0.357 0.170 0.022
O: 0.357 0.330 0.522
O: 0.438 0.086 0.860
O: 0.438 0.414 0.360
O: 0.452 0.194 0.683
O: 0.452 0.306 0.183
O: 0.548 0.694 0.817
O: 0.548 0.806 0.317
O: 0.562 0.586 0.640
O: 0.562 0.914 0.140
O: 0.643 0.670 0.478
O: 0.643 0.830 0.978
O: 0.703 0.565 0.090
O: 0.703 0.935 0.590
O: 0.853 0.504 0.248
O: 0.853 0.996 0.748
O: 0.934 0.244 0.125
O: 0.934 0.256 0.625
O: 0.950 0.148 0.913
O: 0.950 0.352 0.413

=====

Entry 4:
Below is a geometry-optimized GdCuSb2 structure, with properties calculated at the meta-GGA r2SCAN level.

Output
**Symmetry**: P4/nmm
**Total DFT energy (no corrections)**: -27.111 eV per atom
**Mass density**: 8.33 g/cm³
**ΔE_f**: -2.79 eV per formula unit

abc: 4.304 4.304 9.998
angles: 90.00 90.00 90.00
Fractional positions:
Gd: 0.250 0.250 0.247
Gd: 0.750 0.750 0.753
Cu: 0.250 0.750 0.500
Cu: 0.750 0.250 0.500
Sb: 0.250 0.250 0.655
Sb: 0.250 0.750 0.000
Sb: 0.750 0.250 0.000
Sb: 0.750 0.750 0.345

=====

Entry 5:
Below is a geometry-optimized Ti2TcNi structure, with properties calculated at the meta-GGA r2SCAN level.

Output
**Symmetry**: Fm-3m
**Total DFT energy (no corrections)**: -16.446 eV per atom
**Mass density**: 7.46 g/cm³
**ΔE_f**: -1.96 eV per formula unit

abc: 6.081 6.081 6.081
angles: 90.00 90.00 90.00
Fractional positions:
Ti: 0.250 0.250 0.250
Ti: 0.250 0.250 0.750
Ti: 0.250 0.750 0.250
Ti: 0.250 0.750 0.750
Ti: 0.750 0.250 0.250
Ti: 0.750 0.250 0.750
Ti: 0.750 0.750 0.250
Ti: 0.750 0.750 0.750
Tc: 0.000 0.000 0.000
Tc: 0.000 0.500 0.500
Tc: 0.500 0.000 0.500
Tc: 0.500 0.500 0.000
Ni: 0.000 0.000 0.500
Ni: 0.000 0.500 0.000
Ni: 0.500 0.000 0.000
Ni: 0.500 0.500 0.500

=====

Entry 6:
Below is a geometry-optimized Nd2W2O9 structure, with properties calculated at the meta-GGA r2SCAN level.

Output
**Symmetry**: P2_1/c
**Total DFT energy (no corrections)**: -19.554 eV per atom
**Mass density**: 7.93 g/cm³
**ΔE_f**: -38.87 eV per formula unit

abc: 7.671 9.885 9.265
angles: 90.00 107.45 90.00
Fractional positions:
Nd: 0.217 0.047 0.427
Nd: 0.217 0.453 0.927
Nd: 0.272 0.053 0.847
Nd: 0.272 0.447 0.347
Nd: 0.728 0.553 0.653
Nd: 0.728 0.947 0.153
Nd: 0.783 0.547 0.073
Nd: 0.783 0.953 0.573
W: 0.075 0.726 0.464
W: 0.075 0.774 0.964
W: 0.430 0.748 0.262
W: 0.430 0.752 0.762
W: 0.570 0.248 0.238
W: 0.570 0.252 0.738
W: 0.925 0.226 0.036
W: 0.925 0.274 0.536
O: 0.006 0.096 0.177
O: 0.006 0.404 0.677
O: 0.054 0.105 0.607
O: 0.054 0.395 0.107
O: 0.088 0.209 0.928
O: 0.088 0.291 0.428
O: 0.237 0.635 0.141
O: 0.237 0.865 0.641
O: 0.242 0.689 0.860
O: 0.242 0.811 0.360
O: 0.272 0.622 0.578
O: 0.272 0.878 0.078
O: 0.400 0.218 0.339
O: 0.400 0.282 0.839
O: 0.452 0.091 0.658
O: 0.452 0.409 0.158
O: 0.489 0.120 0.095
O: 0.489 0.380 0.595
O: 0.511 0.620 0.405
O: 0.511 0.880 0.905
O: 0.548 0.591 0.842
O: 0.548 0.909 0.342
O: 0.600 0.718 0.161
O: 0.600 0.782 0.661
O: 0.728 0.122 0.922
O: 0.728 0.378 0.422
O: 0.758 0.189 0.640
O: 0.758 0.311 0.140
O: 0.763 0.135 0.359
O: 0.763 0.365 0.859
O: 0.912 0.709 0.572
O: 0.912 0.791 0.072
O: 0.946 0.605 0.893
O: 0.946 0.895 0.393
O: 0.994 0.596 0.323
O: 0.994 0.904 0.823

=====

Entry 7:
Below is a geometry-optimized Mg2B2O5 structure, with properties calculated at the meta-GGA r2SCAN level.

Output
**Symmetry**: P2_1/c
**Total DFT energy (no corrections)**: -8.743 eV per atom
**Mass density**: 2.93 g/cm³
**ΔE_f**: -25.79 eV per formula unit

abc: 9.181 3.106 12.326
angles: 90.00 104.26 90.00
Fractional positions:
Mg: 0.103 0.218 0.187
Mg: 0.103 0.282 0.687
Mg: 0.354 0.707 0.104
Mg: 0.354 0.793 0.604
Mg: 0.646 0.207 0.396
Mg: 0.646 0.293 0.896
Mg: 0.897 0.718 0.313
Mg: 0.897 0.782 0.813
B: 0.169 0.154 0.440
B: 0.169 0.346 0.940
B: 0.357 0.726 0.841
B: 0.357 0.774 0.341
B: 0.643 0.226 0.659
B: 0.643 0.274 0.159
B: 0.831 0.654 0.060
B: 0.831 0.846 0.560
O: 0.053 0.216 0.348
O: 0.053 0.284 0.848
O: 0.180 0.222 0.047
O: 0.180 0.278 0.547
O: 0.259 0.725 0.238
O: 0.259 0.775 0.738
O: 0.300 0.575 0.931
O: 0.300 0.925 0.431
O: 0.495 0.198 0.137
O: 0.495 0.302 0.637
O: 0.505 0.698 0.363
O: 0.505 0.802 0.863
O: 0.700 0.075 0.569
O: 0.700 0.425 0.069
O: 0.741 0.225 0.262
O: 0.741 0.275 0.762
O: 0.820 0.722 0.453
O: 0.820 0.778 0.953
O: 0.947 0.716 0.152
O: 0.947 0.784 0.652

=====

Entry 8:
Below is a geometry-optimized ScSnPt structure, with properties calculated at the meta-GGA r2SCAN level.

Output
**Symmetry**: P-62m
**Total DFT energy (no corrections)**: -30.287 eV per atom
**Mass density**: 10.13 g/cm³
**ΔE_f**: -3.23 eV per formula unit

abc: 7.398 7.398 3.722
angles: 90.00 90.00 120.00
Fractional positions:
Sc: 0.000 0.395 0.000
Sc: 0.395 0.000 0.000
Sc: 0.605 0.605 0.000
Sn: 0.000 0.729 0.500
Sn: 0.271 0.271 0.500
Sn: 0.729 0.000 0.500
Pt: 0.000 0.000 0.000
Pt: 0.333 0.667 0.500
Pt: 0.667 0.333 0.500

=====

Entry 9:
Below is a geometry-optimized ThSiTe structure, with properties calculated at the meta-GGA r2SCAN level.

Output
**Symmetry**: I4/mmm
**Total DFT energy (no corrections)**: -36.902 eV per atom
**Mass density**: 7.98 g/cm³
**ΔE_f**: -3.04 eV per formula unit

abc: 4.160 4.160 18.661
angles: 90.00 90.00 90.00
Fractional positions:
Th: 0.000 0.000 0.120
Th: 0.000 0.000 0.880
Th: 0.500 0.500 0.380
Th: 0.500 0.500 0.620
Si: 0.000 0.500 0.000
Si: 0.000 0.500 0.500
Si: 0.500 0.000 0.000
Si: 0.500 0.000 0.500
Te: 0.000 0.000 0.311
Te: 0.000 0.000 0.689
Te: 0.500 0.500 0.189
Te: 0.500 0.500 0.811

=====

Entry 10:
Below is a geometry-optimized TmBiPt structure, with properties calculated at the meta-GGA r2SCAN level.

Output
**Symmetry**: F-43m
**Total DFT energy (no corrections)**: -49.533 eV per atom
**Mass density**: 13.00 g/cm³
**ΔE_f**: -3.49 eV per formula unit

abc: 6.640 6.640 6.640
angles: 90.00 90.00 90.00
Fractional positions:
Tm: 0.000 0.000 0.000
Tm: 0.000 0.500 0.500
Tm: 0.500 0.000 0.500
Tm: 0.500 0.500 0.000
Bi: 0.000 0.000 0.500
Bi: 0.000 0.500 0.000
Bi: 0.500 0.000 0.000
Bi: 0.500 0.500 0.500
Pt: 0.250 0.250 0.250
Pt: 0.250 0.750 0.750
Pt: 0.750 0.250 0.750
Pt: 0.750 0.750 0.250

=====

Entry 11:
Below is a geometry-optimized ZnNi3 structure, with properties calculated at the meta-GGA r2SCAN level.

Output
**Symmetry**: Pm-3m
**Total DFT energy (no corrections)**: -11.311 eV per atom
**Mass density**: 9.11 g/cm³
**ΔE_f**: -0.39 eV per formula unit

abc: 3.531 3.531 3.531
angles: 90.00 90.00 90.00
Fractional positions:
Zn: 0.000 0.000 0.000
Ni: 0.000 0.500 0.500
Ni: 0.500 0.000 0.500
Ni: 0.500 0.500 0.000

=====

Entry 12:
Below is a geometry-optimized PrGa3Au structure, with properties calculated at the meta-GGA r2SCAN level.

Output
**Symmetry**: Fmm2
**Total DFT energy (no corrections)**: -23.557 eV per atom
**Mass density**: 9.03 g/cm³
**ΔE_f**: -3.47 eV per formula unit

abc: 6.189 6.186 4.325
angles: 69.58 69.51 40.91
Fractional positions:
Pr: 0.000 0.000 0.000
Ga: 0.236 0.236 0.264
Ga: 0.595 0.595 0.405
Ga: 0.736 0.736 0.764
Au: 0.363 0.363 0.637